{
  "formula": "TiZnPt2",
  "functional": "GGA-PBE",
  "state": "optimized geometry",
  "mass_density_g_cm3": 13.6,
  "space_group": "No. 225",
  "e_form_ev_per_fu": -2.970,
  "total_energy_ev_per_atom": -6.0670,
  "cell": [[-3.933, -1.216, -1.631], [-3.725, 1.240, 2.048], [-2.652, 3.017, -1.864]],
  "species": ["Ti", "Pt", "Pt", "Zn"],
  "frac_coords": [[0.500, 0.500, 0.500], [0.250, 0.250, 0.250], [0.750, 0.750, 0.750], [0.000, 0.000, 0.000]]
}